# KAuF4 PBE relaxed
data_KAuF4
_symmetry_space_group_name_H-M 'P 1'
_symmetry_Int_Tables_number 1
_cell_length_a 7.255
_cell_length_b 7.255
_cell_length_c 7.255
_cell_angle_alpha 129.47
_cell_angle_beta 129.47
_cell_angle_gamma 74.26
loop_
_symmetry_equiv_pos_as_xyz
'x,y,z'
loop_
_atom_site_label
_atom_site_type_symbol
_atom_site_fract_x
_atom_site_fract_y
_atom_site_fract_z
Au1 Au 0.500 0.000 0.500
K1 K 0.250 0.250 0.000
F1 F 0.280 0.459 0.500
Au2 Au 0.000 0.500 0.500
K2 K 0.750 0.750 0.000
F2 F 0.041 0.220 0.500
F3 F 0.459 0.959 0.180
F4 F 0.220 0.720 0.180
F5 F 0.541 0.041 0.820
F6 F 0.780 0.280 0.820
F7 F 0.720 0.541 0.500
F8 F 0.959 0.780 0.500
# Final energy: -3.7720 eV/atom
# Theoretical density: 4.67 Mg/m³
# DFT formation energy: -2073 meV per atom

=====

# K2LiAuF6 PBE relaxed
data_K2LiAuF6
_symmetry_space_group_name_H-M 'P 1'
_symmetry_Int_Tables_number 1
_cell_length_a 5.962
_cell_length_b 5.962
_cell_length_c 5.962
_cell_angle_alpha 60.00
_cell_angle_beta 60.00
_cell_angle_gamma 60.00
loop_
_symmetry_equiv_pos_as_xyz
'x,y,z'
loop_
_atom_site_label
_atom_site_type_symbol
_atom_site_fract_x
_atom_site_fract_y
_atom_site_fract_z
K1 K 0.250 0.250 0.250
F1 F 0.255 0.745 0.255
F2 F 0.745 0.255 0.745
F3 F 0.255 0.255 0.745
F4 F 0.255 0.745 0.745
F5 F 0.745 0.745 0.255
Li1 Li 0.500 0.500 0.500
K2 K 0.750 0.750 0.750
Au1 Au 0.000 0.000 0.000
F6 F 0.745 0.255 0.255
# Final energy: -3.9758 eV/atom
# Theoretical density: 4.39 Mg/m³
# DFT formation energy: -2364 meV per atom

=====

# K2NaAuF6 PBE relaxed
data_K2NaAuF6
_symmetry_space_group_name_H-M 'P 1'
_symmetry_Int_Tables_number 1
_cell_length_a 6.204
_cell_length_b 6.204
_cell_length_c 6.204
_cell_angle_alpha 60.00
_cell_angle_beta 60.00
_cell_angle_gamma 60.00
loop_
_symmetry_equiv_pos_as_xyz
'x,y,z'
loop_
_atom_site_label
_atom_site_type_symbol
_atom_site_fract_x
_atom_site_fract_y
_atom_site_fract_z
F1 F 0.244 0.756 0.244
K1 K 0.250 0.250 0.250
F2 F 0.244 0.244 0.756
F3 F 0.756 0.756 0.244
F4 F 0.244 0.756 0.756
F5 F 0.756 0.244 0.244
Au1 Au 0.000 0.000 0.000
F6 F 0.756 0.244 0.756
K2 K 0.750 0.750 0.750
Na1 Na 0.500 0.500 0.500
# Final energy: -3.8830 eV/atom
# Theoretical density: 4.05 Mg/m³
# DFT formation energy: -2330 meV per atom

=====

# K2NbAuF6 PBE relaxed
data_K2NbAuF6
_symmetry_space_group_name_H-M 'P 1'
_symmetry_Int_Tables_number 1
_cell_length_a 7.175
_cell_length_b 7.175
_cell_length_c 7.175
_cell_angle_alpha 60.00
_cell_angle_beta 60.00
_cell_angle_gamma 60.00
loop_
_symmetry_equiv_pos_as_xyz
'x,y,z'
loop_
_atom_site_label
_atom_site_type_symbol
_atom_site_fract_x
_atom_site_fract_y
_atom_site_fract_z
F1 F 0.809 0.191 0.809
K1 K 0.250 0.250 0.250
F2 F 0.191 0.809 0.809
K2 K 0.750 0.750 0.750
Nb1 Nb 0.000 0.000 0.000
F3 F 0.191 0.191 0.809
F4 F 0.809 0.191 0.191
F5 F 0.809 0.809 0.191
Au1 Au 0.500 0.500 0.500
F6 F 0.191 0.809 0.191
# Final energy: -4.9991 eV/atom
# Theoretical density: 3.06 Mg/m³
# DFT formation energy: -2568 meV per atom

=====

- Which of these has the lowest final energy?
  K2NbAuF6